A plane-wave DFT calculation with PBE was carried out for crystalline Li6CuB4O10 at its relaxed geometry.

ΔE to the lowest computed polymorph = 32 meV per atom
ΔE_f = -2.47 eV per atom
Maximum piezoelectric response = 1.3 C/m²

a = 4.798 Å, b = 6.462 Å, c = 7.281 Å
α = 80.53°, β = 71.26°, γ = 75.12°
Fractional coordinates of all 21 atoms:
O 0.914 0.087 0.011
O 0.634 0.088 0.461
O 0.571 0.496 0.652
O 0.413 0.429 0.075
O 0.325 0.929 0.144
O 0.439 0.028 0.804
O 0.081 0.621 0.875
O 0.097 0.202 0.611
O 0.895 0.598 0.216
O 0.171 0.713 0.533
B 0.384 0.112 0.619
B 0.137 0.542 0.058
B 0.282 0.607 0.680
B 0.218 0.018 0.991
Li 0.867 0.368 0.438
Li 0.944 0.833 0.342
Li 0.743 0.842 0.996
Li 0.459 0.640 0.279
Li 0.519 0.151 0.221
Li 0.898 0.971 0.627
Cu 0.750 0.324 0.842